# Al2H12Se3O15 | Materials Project | GGA-PBE | relaxed
# theoretical density	2.45	g/cm³
# calculated formation energy	-1.612	eV/atom
# relative energy among the computed polymorphs	0.0000	eV per atom
# total energy	-5.44	eV/atom
data_Al2H12Se3O15
_chemical_formula_sum 'Al4 H24 Se6 O30'
_cell_length_a 8.8169
_cell_length_b 8.8169
_cell_length_c 10.9391
_cell_angle_alpha 90.00
_cell_angle_beta 90.00
_cell_angle_gamma 120.00
_symmetry_space_group_name_H-M 'P -6 2 c'
_symmetry_Int_Tables_number 190
_symmetry_space_group_name_Hall 'P -6c -2c'
loop_
_atom_site_label
_atom_site_type_symbol
_atom_site_fract_x
_atom_site_fract_y
_atom_site_fract_z
Al1 Al 0.3333 0.6667 0.0346
H1 H 0.0591 0.4766 0.5927
H2 H 0.1995 0.4166 0.6320
Se1 Se 0.1222 0.7390 0.2500
O1 O 0.0933 0.7697 0.7500
O2 O 0.1293 0.6135 0.1279
O3 O 0.1674 0.4763 0.5667